1.
# GeAu3

Crystalline GeAu3 at its relaxed geometry (GGA-PBE, the Materials Project database). Values from VASP.

Cell and atoms, written as Quantum ESPRESSO input:
```
&SYSTEM
  ibrav = 0, nat = 4, ntyp = 2
/
ATOMIC_SPECIES
Ge 72.64 Ge.upf
Au 196.97 Au.upf
ATOMIC_POSITIONS crystal
Ge 0.667 0.333 0.000
Au 0.667 0.333 0.500
Au 0.333 0.667 0.248
Au 0.333 0.667 0.752
CELL_PARAMETERS angstrom
1.480 -2.564 0.000
1.480 2.564 0.000
0.000 0.000 9.693
```

E ... -3.5290 eV/atom
Formation enthalpy at 0 K ... 1.89 kcal/mol of atoms
Space group ... P-6m2, No. 187


2.
# GeAu3

Crystalline GeAu3 at its relaxed geometry (GGA-PBE, the Materials Project database). Values from VASP.

Cell and atoms, written as Quantum ESPRESSO input:
```
&SYSTEM
  ibrav = 0, nat = 8, ntyp = 2
/
ATOMIC_SPECIES
Ge 72.64 Ge.upf
Au 196.97 Au.upf
ATOMIC_POSITIONS crystal
Ge 0.333 0.667 0.750
Ge 0.667 0.333 0.250
Au 0.166 0.333 0.250
Au 0.667 0.834 0.250
Au 0.166 0.834 0.250
Au 0.834 0.667 0.750
Au 0.333 0.166 0.750
Au 0.834 0.166 0.750
CELL_PARAMETERS angstrom
2.880 -4.988 0.000
2.880 4.988 0.000
0.000 0.000 5.163
```

E ... -3.5396 eV/atom
Formation enthalpy at 0 K ... 1.65 kcal/mol of atoms
Space group ... P6_3/mmc, No. 194


3.
# GeAu3

Crystalline GeAu3 at its relaxed geometry (GGA-PBE, the Materials Project database). Values from VASP.

Cell and atoms, written as Quantum ESPRESSO input:
```
&SYSTEM
  ibrav = 0, nat = 4, ntyp = 2
/
ATOMIC_SPECIES
Ge 72.64 Ge.upf
Au 196.97 Au.upf
ATOMIC_POSITIONS crystal
Ge 0.000 0.000 0.000
Au 0.250 0.250 0.250
Au 0.750 0.750 0.750
Au 0.500 0.500 0.500
CELL_PARAMETERS angstrom
0.000 3.331 3.331
3.331 0.000 3.331
3.331 3.331 0.000
```

E ... -3.5486 eV/atom
Formation enthalpy at 0 K ... 1.44 kcal/mol of atoms
Space group ... Fm-3m, No. 225


Values for theoretical density, g cm⁻³, ordered as above
14.98, 14.85, 14.91